one:
Mg6AlNiO8: optimized geometry, PBE+U.

Cell: 4.1871 4.1871 8.7349 Å, 90.00 90.00 90.00°
Positions (direct):
Mg (0.0000, 0.0000, 0.0000)
Mg (0.0000, 0.0000, 0.5000)
Mg (0.0000, 0.5000, 0.2419)
Mg (0.0000, 0.5000, 0.7581)
Mg (0.5000, 0.0000, 0.2419)
Mg (0.5000, 0.0000, 0.7581)
Al (0.5000, 0.5000, 0.5000)
Ni (0.5000, 0.5000, 0.0000)
O (0.0000, 0.0000, 0.2502)
O (0.0000, 0.0000, 0.7498)
O (0.0000, 0.5000, 0.0000)
O (0.0000, 0.5000, 0.5000)
O (0.5000, 0.0000, 0.0000)
O (0.5000, 0.0000, 0.5000)
O (0.5000, 0.5000, 0.2924)
O (0.5000, 0.5000, 0.7076)


two:
Mg6AlNiO8: optimized geometry, PBE+U.

Cell: 4.1772 4.1772 8.7907 Å, 90.00 90.00 90.00°
Positions (direct):
Mg (0.0000, 0.0000, 0.0000)
Mg (0.0000, 0.5000, 0.2554)
Mg (0.0000, 0.5000, 0.7446)
Mg (0.5000, 0.0000, 0.2554)
Mg (0.5000, 0.0000, 0.7446)
Mg (0.5000, 0.5000, 0.0000)
Al (0.0000, 0.0000, 0.5000)
Ni (0.5000, 0.5000, 0.5000)
O (0.0000, 0.0000, 0.2800)
O (0.0000, 0.0000, 0.7200)
O (0.0000, 0.5000, 0.0000)
O (0.0000, 0.5000, 0.5000)
O (0.5000, 0.0000, 0.0000)
O (0.5000, 0.0000, 0.5000)
O (0.5000, 0.5000, 0.2290)
O (0.5000, 0.5000, 0.7710)


Name the least stable of them. two.


one:
KMg14FeO16: optimized geometry, PBE+U.

Cell: 4.3928 8.5910 8.6317 Å, 90.00 90.00 90.00°
Positions (direct):
K (0.0000, 0.0000, 0.0000)
Mg (0.0000, 0.0000, 0.5000)
Mg (0.0000, 0.2475, 0.2558)
Mg (0.0000, 0.2475, 0.7442)
Mg (0.0000, 0.5000, 0.5000)
Mg (0.0000, 0.7525, 0.2558)
Mg (0.0000, 0.7525, 0.7442)
Mg (0.5000, 0.0000, 0.2522)
Mg (0.5000, 0.0000, 0.7478)
Mg (0.5000, 0.2460, 0.0000)
Mg (0.5000, 0.2484, 0.5000)
Mg (0.5000, 0.5000, 0.2527)
Mg (0.5000, 0.5000, 0.7473)
Mg (0.5000, 0.7516, 0.5000)
Mg (0.5000, 0.7540, 0.0000)
Fe (0.0000, 0.5000, 0.0000)
O (0.0000, 0.0000, 0.2750)
O (0.0000, 0.0000, 0.7250)
O (0.0000, 0.2576, 0.5000)
O (0.0000, 0.2783, 0.0000)
O (0.0000, 0.5000, 0.2481)
O (0.0000, 0.5000, 0.7519)
O (0.0000, 0.7217, 0.0000)
O (0.0000, 0.7424, 0.5000)
O (0.5000, 0.0000, 0.0000)
O (0.5000, 0.0000, 0.5000)
O (0.5000, 0.2521, 0.2494)
O (0.5000, 0.2521, 0.7506)
O (0.5000, 0.5000, 0.0000)
O (0.5000, 0.5000, 0.5000)
O (0.5000, 0.7479, 0.2494)
O (0.5000, 0.7479, 0.7506)


two:
KMg14FeO16: optimized geometry, PBE+U.

Cell: 8.6358 8.6358 4.3869 Å, 90.00 90.00 90.00°
Positions (direct):
K (0.0000, 0.0000, 0.0000)
Mg (0.0000, 0.2500, 0.5000)
Mg (0.0000, 0.5000, 0.0000)
Mg (0.0000, 0.7500, 0.5000)
Mg (0.2462, 0.5000, 0.5000)
Mg (0.2471, 0.2471, 0.0000)
Mg (0.2471, 0.7529, 0.0000)
Mg (0.2500, 0.0000, 0.5000)
Mg (0.5000, 0.0000, 0.0000)
Mg (0.5000, 0.2462, 0.5000)
Mg (0.5000, 0.7538, 0.5000)
Mg (0.7500, 0.0000, 0.5000)
Mg (0.7529, 0.2471, 0.0000)
Mg (0.7529, 0.7529, 0.0000)
Mg (0.7538, 0.5000, 0.5000)
Fe (0.5000, 0.5000, 0.0000)
O (0.0000, 0.0000, 0.5000)
O (0.0000, 0.2764, 0.0000)
O (0.0000, 0.5000, 0.5000)
O (0.0000, 0.7236, 0.0000)
O (0.2522, 0.2522, 0.5000)
O (0.2522, 0.7478, 0.5000)
O (0.2634, 0.5000, 0.0000)
O (0.2764, 0.0000, 0.0000)
O (0.5000, 0.0000, 0.5000)
O (0.5000, 0.2634, 0.0000)
O (0.5000, 0.5000, 0.5000)
O (0.5000, 0.7366, 0.0000)
O (0.7236, 0.0000, 0.0000)
O (0.7366, 0.5000, 0.0000)
O (0.7478, 0.2522, 0.5000)
O (0.7478, 0.7478, 0.5000)


Name the least stable of them. two.


one:
Li4MnP2O9: optimized geometry, PBE+U.

Cell: 6.7537 14.6037 14.2099 Å, 90.00 90.00 90.00°
Positions (direct):
Li (0.0003, 0.1278, 0.1324)
Li (0.0003, 0.3722, 0.6324)
Li (0.9997, 0.6278, 0.3676)
Li (0.9997, 0.8722, 0.8676)
Li (0.1828, 0.2261, 0.5282)
Li (0.1828, 0.2739, 0.0282)
Li (0.2221, 0.5045, 0.9971)
Li (0.2221, 0.9955, 0.4971)
Li (0.2455, 0.0269, 0.7472)
Li (0.2455, 0.4731, 0.2472)
Li (0.2545, 0.5269, 0.7472)
Li (0.2545, 0.9731, 0.2472)
Li (0.2779, 0.0045, 0.9971)
Li (0.2779, 0.4955, 0.4971)
Li (0.3172, 0.7261, 0.5282)
Li (0.3172, 0.7739, 0.0282)
Li (0.5003, 0.1278, 0.3676)
Li (0.5003, 0.3722, 0.8676)
Li (0.4997, 0.6278, 0.1324)
Li (0.4997, 0.8722, 0.6324)
Li (0.6828, 0.2261, 0.9718)
Li (0.6828, 0.2739, 0.4718)
Li (0.7221, 0.5045, 0.5029)
Li (0.7221, 0.9955, 0.0029)
Li (0.7455, 0.0269, 0.7528)
Li (0.7455, 0.4731, 0.2528)
Li (0.7545, 0.5269, 0.7528)
Li (0.7545, 0.9731, 0.2528)
Li (0.7779, 0.0045, 0.5029)
Li (0.7779, 0.4955, 0.0029)
Li (0.8172, 0.7261, 0.9718)
Li (0.8172, 0.7739, 0.4718)
Mn (0.2483, 0.7346, 0.7515)
Mn (0.2483, 0.7654, 0.2515)
Mn (0.2517, 0.2346, 0.7515)
Mn (0.2517, 0.2654, 0.2515)
Mn (0.7483, 0.7346, 0.7485)
Mn (0.7483, 0.7654, 0.2485)
Mn (0.7517, 0.2346, 0.7485)
Mn (0.7517, 0.2654, 0.2485)
P (0.0006, 0.1142, 0.8960)
P (0.0006, 0.3858, 0.3960)
P (0.0028, 0.1174, 0.3597)
P (0.0028, 0.3826, 0.8597)
P (0.4972, 0.6174, 0.3597)
P (0.4972, 0.8826, 0.8597)
P (0.4994, 0.6142, 0.8960)
P (0.4994, 0.8858, 0.3960)
P (0.5006, 0.1142, 0.6040)
P (0.5006, 0.3858, 0.1040)
P (0.5028, 0.1174, 0.1403)
P (0.5028, 0.3826, 0.6403)
P (0.9972, 0.6174, 0.1403)
P (0.9972, 0.8826, 0.6403)
P (0.9994, 0.6142, 0.6040)
P (0.9994, 0.8858, 0.1040)
O (0.0013, 0.6709, 0.5125)
O (0.0013, 0.8291, 0.0125)
O (0.0023, 0.5103, 0.5892)
O (0.0023, 0.9897, 0.0892)
O (0.0030, 0.2443, 0.6996)
O (0.0030, 0.2557, 0.1996)
O (0.0052, 0.0424, 0.2842)
O (0.0052, 0.4576, 0.7842)
O (0.0077, 0.0831, 0.4618)
O (0.0077, 0.4169, 0.9618)
O (0.1891, 0.1332, 0.8350)
O (0.1891, 0.3668, 0.3350)
O (0.1916, 0.6763, 0.1504)
O (0.1916, 0.8237, 0.6504)
O (0.1928, 0.1791, 0.3512)
O (0.1928, 0.3209, 0.8512)
O (0.1934, 0.6370, 0.6606)
O (0.1934, 0.8630, 0.1606)
O (0.3066, 0.1370, 0.6606)
O (0.3066, 0.3630, 0.1606)
O (0.3072, 0.6791, 0.3512)
O (0.3072, 0.8209, 0.8512)
O (0.3084, 0.1763, 0.1504)
O (0.3084, 0.3237, 0.6504)
O (0.3109, 0.6332, 0.8350)
O (0.3109, 0.8668, 0.3350)
O (0.4923, 0.5831, 0.4618)
O (0.4923, 0.9169, 0.9618)
O (0.4948, 0.5424, 0.2842)
O (0.4948, 0.9576, 0.7842)
O (0.4970, 0.7443, 0.6996)
O (0.4970, 0.7557, 0.1996)
O (0.4977, 0.0103, 0.5892)
O (0.4977, 0.4897, 0.0892)
O (0.4987, 0.1709, 0.5125)
O (0.4987, 0.3291, 0.0125)
O (0.5013, 0.6709, 0.9875)
O (0.5013, 0.8291, 0.4875)
O (0.5023, 0.5103, 0.9108)
O (0.5023, 0.9897, 0.4108)
O (0.5030, 0.2443, 0.8004)
O (0.5030, 0.2557, 0.3004)
O (0.5052, 0.0424, 0.2158)
O (0.5052, 0.4576, 0.7158)
O (0.5077, 0.0831, 0.0382)
O (0.5077, 0.4169, 0.5382)
O (0.6891, 0.1332, 0.6650)
O (0.6891, 0.3668, 0.1650)
O (0.6916, 0.6763, 0.3496)
O (0.6916, 0.8237, 0.8496)
O (0.6928, 0.1791, 0.1488)
O (0.6928, 0.3209, 0.6488)
O (0.6934, 0.6370, 0.8394)
O (0.6934, 0.8630, 0.3394)
O (0.8066, 0.1370, 0.8394)
O (0.8066, 0.3630, 0.3394)
O (0.8072, 0.6791, 0.1488)
O (0.8072, 0.8209, 0.6488)
O (0.8084, 0.1763, 0.3496)
O (0.8084, 0.3237, 0.8496)
O (0.8109, 0.6332, 0.6650)
O (0.8109, 0.8668, 0.1650)
O (0.9923, 0.5831, 0.0382)
O (0.9923, 0.9169, 0.5382)
O (0.9948, 0.5424, 0.2158)
O (0.9948, 0.9576, 0.7158)
O (0.9970, 0.7443, 0.8004)
O (0.9970, 0.7557, 0.3004)
O (0.9977, 0.0103, 0.9108)
O (0.9977, 0.4897, 0.4108)
O (0.9987, 0.1709, 0.9875)
O (0.9987, 0.3291, 0.4875)


two:
Li4MnP2O9: optimized geometry, PBE+U.

Cell: 7.8644 7.8644 7.0254 Å, 90.68 90.68 51.13°
Positions (direct):
Li (0.0000, 0.5000, 0.5000)
Li (0.1078, 0.1078, 0.2326)
Li (0.2411, 0.7589, 0.0000)
Li (0.3665, 0.3665, 0.2894)
Li (0.5000, 0.0000, 0.5000)
Li (0.6335, 0.6335, 0.7106)
Li (0.7589, 0.2411, 0.0000)
Li (0.8922, 0.8922, 0.7674)
Mn (0.0000, 0.5000, 0.0000)
Mn (0.5000, 0.0000, 0.0000)
P (0.1243, 0.1243, 0.7085)
P (0.3972, 0.3972, 0.7573)
P (0.6028, 0.6028, 0.2427)
P (0.8757, 0.8757, 0.2915)
O (0.0098, 0.6258, 0.2338)
O (0.0310, 0.0310, 0.8135)
O (0.1272, 0.1272, 0.4931)
O (0.1789, 0.5594, 0.8765)
O (0.2375, 0.2375, 0.1036)
O (0.3450, 0.3450, 0.5651)
O (0.3742, 0.9902, 0.7662)
O (0.4406, 0.8211, 0.1235)
O (0.4961, 0.4961, 0.2356)
O (0.5039, 0.5039, 0.7644)
O (0.5594, 0.1789, 0.8765)
O (0.6258, 0.0098, 0.2338)
O (0.6550, 0.6550, 0.4349)
O (0.7625, 0.7625, 0.8964)
O (0.8211, 0.4406, 0.1235)
O (0.8728, 0.8728, 0.5069)
O (0.9690, 0.9690, 0.1865)
O (0.9902, 0.3742, 0.7662)


Name the least stable of them. one.


one:
LiMn2O4: optimized geometry, PBE+U.

Cell: 5.9556 5.9556 5.9556 Å, 60.00 60.00 60.00°
Positions (direct):
Li (0.1250, 0.1250, 0.1250)
Li (0.8750, 0.8750, 0.8750)
Mn (0.0000, 0.5000, 0.5000)
Mn (0.5000, 0.0000, 0.5000)
Mn (0.5000, 0.5000, 0.0000)
Mn (0.5000, 0.5000, 0.5000)
O (0.2631, 0.2631, 0.2631)
O (0.2631, 0.2631, 0.7106)
O (0.2631, 0.7106, 0.2631)
O (0.2894, 0.7369, 0.7369)
O (0.7106, 0.2631, 0.2631)
O (0.7369, 0.2894, 0.7369)
O (0.7369, 0.7369, 0.2894)
O (0.7369, 0.7369, 0.7369)


two:
LiMn2O4: optimized geometry, PBE+U.

Cell: 6.6349 6.6477 11.0026 Å, 94.08 105.89 98.54°
Positions (direct):
Li (0.0000, 0.0000, 0.0000)
Li (0.1231, 0.1129, 0.7738)
Li (0.2614, 0.2395, 0.2656)
Li (0.4943, 0.4911, 0.5192)
Li (0.6465, 0.6463, 0.0058)
Li (0.8528, 0.8431, 0.5044)
Mn (0.0490, 0.5445, 0.3892)
Mn (0.1505, 0.6117, 0.1429)
Mn (0.2083, 0.7088, 0.8873)
Mn (0.3029, 0.7868, 0.6414)
Mn (0.3794, 0.8750, 0.3902)
Mn (0.4786, 0.9457, 0.1432)
Mn (0.5475, 0.0438, 0.8941)
Mn (0.6256, 0.1263, 0.6394)
Mn (0.7187, 0.2022, 0.3895)
Mn (0.8091, 0.2872, 0.1459)
Mn (0.8711, 0.3861, 0.8865)
Mn (0.9570, 0.4598, 0.6321)
O (0.0396, 0.7492, 0.6845)
O (0.0627, 0.3124, 0.0962)
O (0.1020, 0.4151, 0.8025)
O (0.1213, 0.8291, 0.4412)
O (0.2035, 0.5006, 0.5615)
O (0.2370, 0.9082, 0.2143)
O (0.2850, 0.0072, 0.9419)
O (0.3100, 0.5782, 0.3462)
O (0.3914, 0.6642, 0.0762)
O (0.3927, 0.0771, 0.7207)
O (0.4577, 0.1707, 0.4357)
O (0.4724, 0.7565, 0.8422)
O (0.5373, 0.8371, 0.5640)
O (0.5664, 0.2348, 0.2172)
O (0.6449, 0.9152, 0.3468)
O (0.6515, 0.3388, 0.9753)
O (0.7007, 0.4175, 0.6812)
O (0.7133, 0.9985, 0.0656)
O (0.8016, 0.4982, 0.4567)
O (0.8042, 0.0933, 0.8388)
O (0.8710, 0.1651, 0.5671)
O (0.9012, 0.5718, 0.2111)
O (0.9634, 0.6716, 0.9553)
O (0.9650, 0.2521, 0.3226)


Name the least stable of them. two.


one:
FeN3F6: optimized geometry, PBE+U.

Cell: 5.4704 5.4704 5.4704 Å, 60.00 60.00 60.00°
Positions (direct):
Fe (0.0000, 0.0000, 0.0000)
N (0.2500, 0.2500, 0.2500)
N (0.5000, 0.5000, 0.5000)
N (0.7500, 0.7500, 0.7500)
F (0.2578, 0.2578, 0.7422)
F (0.2578, 0.7422, 0.2578)
F (0.2578, 0.7422, 0.7422)
F (0.7422, 0.2578, 0.2578)
F (0.7422, 0.2578, 0.7422)
F (0.7422, 0.7422, 0.2578)


two:
FeN3F6: optimized geometry, PBE+U.

Cell: 5.9431 6.1691 6.3273 Å, 92.20 117.60 115.03°
Positions (direct):
Fe (0.0000, 0.0000, 0.0000)
N (0.4283, 0.7872, 0.1453)
N (0.5266, 0.2741, 0.7332)
N (0.9537, 0.4555, 0.4531)
F (0.0161, 0.8709, 0.2518)
F (0.0392, 0.3724, 0.3182)
F (0.3338, 0.2713, 0.0763)
F (0.4555, 0.8065, 0.9448)
F (0.7539, 0.2371, 0.7787)
F (0.8035, 0.7874, 0.6965)


Name the least stable of them. one.